1.
A relaxed Li4MnV3P8O28 crystal, computed with PBE with a Hubbard U.

Calculated values
Formation enthalpy at 0 K (eV/atom): -2.6925

Cell lengths 7.058, 9.604, 9.648 Å; angles 119.13, 99.93, 98.82 degrees
Space group P1 (No. 1)
Asymmetric unit:
Li1 0.000 0.000 0.000 (multiplicity 1)
Li2 0.001 0.502 0.503 (multiplicity 1)
Li3 0.345 0.925 0.426 (multiplicity 1)
Li4 0.348 0.428 0.929 (multiplicity 1)
Mn1 0.940 0.663 0.302 (multiplicity 1)
V1 0.400 0.126 0.266 (multiplicity 1)
V2 0.401 0.627 0.767 (multiplicity 1)
V3 0.946 0.163 0.803 (multiplicity 1)
P1 0.151 0.229 0.550 (multiplicity 1)
P2 0.155 0.730 0.051 (multiplicity 1)
P3 0.195 0.880 0.699 (multiplicity 1)
P4 0.196 0.381 0.200 (multiplicity 1)
P5 0.585 0.519 0.447 (multiplicity 1)
P6 0.588 0.021 0.945 (multiplicity 1)
P7 0.761 0.984 0.409 (multiplicity 1)
P8 0.762 0.486 0.910 (multiplicity 1)
O1 0.065 0.482 0.298 (multiplicity 1)
O2 0.069 0.984 0.800 (multiplicity 1)
O3 0.153 0.845 0.521 (multiplicity 1)
O4 0.157 0.344 0.023 (multiplicity 1)
O5 0.167 0.224 0.708 (multiplicity 1)
O6 0.178 0.725 0.208 (multiplicity 1)
O7 0.180 0.222 0.204 (multiplicity 1)
O8 0.180 0.723 0.705 (multiplicity 1)
O9 0.188 0.406 0.586 (multiplicity 1)
O10 0.191 0.906 0.084 (multiplicity 1)
O11 0.277 0.128 0.447 (multiplicity 1)
O12 0.278 0.628 0.943 (multiplicity 1)
O13 0.425 0.992 0.784 (multiplicity 1)
O14 0.426 0.490 0.285 (multiplicity 1)
O15 0.517 0.629 0.596 (multiplicity 1)
O16 0.526 0.131 0.097 (multiplicity 1)
O17 0.560 0.991 0.327 (multiplicity 1)
O18 0.561 0.489 0.824 (multiplicity 1)
O19 0.583 0.350 0.427 (multiplicity 1)
O20 0.589 0.852 0.926 (multiplicity 1)
O21 0.759 0.504 0.077 (multiplicity 1)
O22 0.762 0.002 0.576 (multiplicity 1)
O23 0.787 0.103 0.941 (multiplicity 1)
O24 0.787 0.601 0.448 (multiplicity 1)
O25 0.816 0.829 0.293 (multiplicity 1)
O26 0.823 0.333 0.799 (multiplicity 1)
O27 0.920 0.144 0.438 (multiplicity 1)
O28 0.922 0.646 0.942 (multiplicity 1)

***

2.
A relaxed Na2FeO4 crystal, computed with PBE with a Hubbard U.

Calculated values
Formation enthalpy at 0 K (eV/atom): -1.2718

Cell lengths 7.572, 7.645, 7.158 Å; angles 90.00, 90.00, 90.00 degrees
Space group Pnnm (No. 58)
Asymmetric unit:
Na1 0.000 0.000 0.241 (multiplicity 4)
Na2 0.237 0.267 0.500 (multiplicity 4)
Fe1 0.221 0.352 0.000 (multiplicity 4)
O1 0.068 0.194 0.000 (multiplicity 4)
O2 0.069 0.785 0.500 (multiplicity 4)
O3 0.203 0.477 0.189 (multiplicity 8)

***

3.
A relaxed RbVPO6 crystal, computed with PBE with a Hubbard U.

Calculated values
Formation enthalpy at 0 K (eV/atom): -2.3418

Cell lengths 6.786, 9.882, 18.371 Å; angles 90.00, 90.00, 90.00 degrees
Space group Pbca (No. 61)
Asymmetric unit:
Rb1 0.226 0.191 0.099 (multiplicity 8)
V1 0.023 0.545 0.756 (multiplicity 8)
P1 0.204 0.099 0.898 (multiplicity 8)
O1 0.024 0.119 0.267 (multiplicity 8)
O2 0.031 0.054 0.849 (multiplicity 8)
O3 0.103 0.610 0.853 (multiplicity 8)
O4 0.156 0.231 0.939 (multiplicity 8)
O5 0.223 0.101 0.726 (multiplicity 8)
O6 0.228 0.003 0.964 (multiplicity 8)